# 1
A plane-wave DFT calculation with r2SCAN was carried out for an optimized crystal structure of ScSb.

abc: 4.166 4.166 4.166
angles: 60.00 60.00 60.00
Atoms (fractional coordinates):
Sc (0.000, 0.000, 0.000)
Sb (0.500, 0.500, 0.500)

Calculated values
**Energy**: -39.313 eV for the cell shown
**ΔH_f (0 K)**: -1104 meV per atom

---

# 2
A plane-wave DFT calculation with r2SCAN was carried out for an optimized crystal structure of TbScSb.

abc: 4.349 4.349 8.208
angles: 90.00 90.00 90.00
Atoms (fractional coordinates):
Tb (0.250, 0.250, 0.151)
Tb (0.750, 0.750, 0.849)
Sc (0.250, 0.750, 0.500)
Sc (0.750, 0.250, 0.500)
Sb (0.250, 0.250, 0.765)
Sb (0.750, 0.750, 0.235)

Calculated values
**Energy**: -142.646 eV for the cell shown
**ΔH_f (0 K)**: -997 meV per atom

---

# 3
A plane-wave DFT calculation with r2SCAN was carried out for an optimized crystal structure of ScU3Sb5.

abc: 9.321 9.321 6.294
angles: 90.00 90.00 120.00
Atoms (fractional coordinates):
Sc (0.000, 0.000, 0.000)
Sc (0.000, 0.000, 0.500)
U (0.000, 0.387, 0.250)
U (0.000, 0.613, 0.750)
U (0.387, 0.000, 0.250)
U (0.387, 0.387, 0.750)
U (0.613, 0.000, 0.750)
U (0.613, 0.613, 0.250)
Sb (0.000, 0.267, 0.750)
Sb (0.000, 0.733, 0.250)
Sb (0.267, 0.000, 0.750)
Sb (0.267, 0.267, 0.250)
Sb (0.333, 0.667, 0.000)
Sb (0.333, 0.667, 0.500)
Sb (0.667, 0.333, 0.000)
Sb (0.667, 0.333, 0.500)
Sb (0.733, 0.000, 0.250)
Sb (0.733, 0.733, 0.750)

Calculated values
**Energy**: -773.560 eV for the cell shown
**ΔH_f (0 K)**: -780 meV per atom

---

# 4
A plane-wave DFT calculation with r2SCAN was carried out for an optimized crystal structure of Sm10Sb3Se7.

abc: 11.263 11.263 7.373
angles: 96.24 96.24 141.65
Atoms (fractional coordinates):
Sm (0.050, 0.444, 0.238)
Sm (0.147, 0.348, 0.748)
Sm (0.247, 0.247, 0.256)
Sm (0.348, 0.147, 0.748)
Sm (0.444, 0.050, 0.238)
Sm (0.556, 0.950, 0.762)
Sm (0.652, 0.853, 0.252)
Sm (0.753, 0.753, 0.744)
Sm (0.853, 0.652, 0.252)
Sm (0.950, 0.556, 0.762)
Sb (0.203, 0.797, 0.500)
Sb (0.500, 0.500, 0.000)
Sb (0.797, 0.203, 0.500)
Se (0.000, 0.000, 0.500)
Se (0.097, 0.903, 0.000)
Se (0.300, 0.700, 0.000)
Se (0.401, 0.599, 0.500)
Se (0.599, 0.401, 0.500)
Se (0.700, 0.300, 0.000)
Se (0.903, 0.097, 0.000)

Calculated values
**Energy**: -512.262 eV for the cell shown
**ΔH_f (0 K)**: -1882 meV per atom